Record 1
Density functional theory data (PBE) for crystalline PtS4N3Cl at its relaxed geometry.

Values from the calculation:
M_tot = 0.0 μB/f.u.
calculated total energy = -191.63 eV/cell
volume = 24.0 A^3/atom
energy of formation = 106 meV per atom

a b c (Å): 11.4235 13.8272 5.4780
angles (deg): 90.00 90.00 90.00
Space group Pnma (No. 62)
Inequivalent atoms, fractional coordinates:
Pt 0.1722 0.2500 0.0180 x4
S 0.0092 0.1432 0.4021 x8
S 0.1685 0.0868 0.0328 x8
N 0.0542 0.2500 0.2847 x4
N 0.0756 0.0638 0.2524 x8
Cl 0.1868 0.7500 0.2104 x4



Record 2
Density functional theory data (PBE) for crystalline ReN2Cl6 at its relaxed geometry.

Values from the calculation:
M_tot = 5.0 μB/f.u.
calculated total energy = -134.47 eV/cell
volume = 27.9 A^3/atom
energy of formation = 323 meV per atom

a b c (Å): 10.0204 10.0204 10.0204
angles (deg): 90.00 90.00 90.00
Space group Fm-3m (No. 225)
Inequivalent atoms, fractional coordinates:
Re 0.0000 0.0000 0.0000 x4
N 0.2500 0.2500 0.2500 x8
Cl 0.0000 0.0000 0.2291 x24



Record 3
Density functional theory data (PBE) for crystalline ReRhN5Cl7 at its relaxed geometry.

Values from the calculation:
M_tot = 2.6 μB/f.u.
calculated total energy = -229.81 eV/cell
volume = 24.0 A^3/atom
energy of formation = 906 meV per atom

a b c (Å): 11.2886 8.0096 15.3070
angles (deg): 90.00 104.18 90.00
Space group P2_1/m (No. 11)
Inequivalent atoms, fractional coordinates:
Re 0.1985 0.2500 0.1368 x2
Re 0.2135 0.2500 0.6347 x2
Rh 0.2649 0.7500 0.8752 x2
Rh 0.2840 0.7500 0.3573 x2
N 0.1355 0.7500 0.7906 x2
N 0.2006 0.5820 0.4185 x4
N 0.2093 0.7500 0.2467 x2
N 0.2151 0.7500 0.9905 x2
N 0.3088 0.5109 0.9025 x4
N 0.4055 0.7500 0.8162 x2
N 0.4170 0.5825 0.3736 x4
Cl 0.0378 0.2500 0.5209 x2
Cl 0.0517 0.0494 0.1352 x4
Cl 0.0951 0.2500 0.7387 x2
Cl 0.1505 0.2500 0.9833 x2
Cl 0.2124 0.5343 0.6365 x4
Cl 0.2417 0.2500 0.2916 x2
Cl 0.3257 0.2500 0.5306 x2
Cl 0.3407 0.0480 0.1405 x4
Cl 0.3874 0.2500 0.7488 x2
Cl 0.4027 0.7500 0.5322 x2
Cl 0.4679 0.7500 0.0057 x2



Record 4
Density functional theory data (PBE) for crystalline ReRu2N10Cl10 at its relaxed geometry.

Values from the calculation:
M_tot = 2.7 μB/f.u.
calculated total energy = -240.85 eV/cell
volume = 27.8 A^3/atom
energy of formation = 273 meV per atom

a b c (Å): 12.4957 7.9839 13.1117
angles (deg): 90.00 102.44 90.00
Space group C2/m (No. 12)
Inequivalent atoms, fractional coordinates:
Re 0.0000 0.0000 0.0000 x2
Ru 0.0921 0.5000 0.3218 x4
N 0.0568 0.5000 0.7169 x4
N 0.1347 0.3264 0.3966 x8
N 0.2431 0.4298 0.2119 x8
Cl 0.0000 0.2920 0.0000 x4
Cl 0.0216 0.0000 0.1812 x4
Cl 0.0794 0.0000 0.5336 x4
Cl 0.1728 0.5000 0.6840 x4
Cl 0.1886 0.0000 0.0221 x4



> Look up the M_tot of the second one.

5.0 μB/f.u.



> The highest M_tot belongs to which entry?

ReN2Cl6



> Among the records above, which one has the highest M_tot?

ReN2Cl6



> The highest energy of formation belongs to which entry?

ReRhN5Cl7